1.
Compound: RbMg6C
Source: the Materials Project
Functional: GGA-PBE
Structure: relaxed

M_tot	0.286	μB/cell
offset from the most stable computed form	0	meV/atom
theoretical density	2.0	g/cm³

a = 3.283 Å, b = 8.311 Å, c = 14.581 Å
α = 90.00°, β = 90.00°, γ = 90.00°
Element x y z (fractional)
Mg (0.500, 0.500, 0.592)
Mg (0.000, 0.173, 0.628)
Mg (0.500, 0.000, 0.092)
Mg (0.000, 0.327, 0.128)
Mg (0.000, 0.000, 0.290)
Mg (0.500, 0.833, 0.463)
Mg (0.500, 0.333, 0.963)
Mg (0.500, 0.667, 0.963)
Mg (0.000, 0.827, 0.628)
Mg (0.500, 0.167, 0.463)
Mg (0.000, 0.673, 0.128)
Mg (0.000, 0.500, 0.790)
Rb (0.000, 0.000, 0.842)
Rb (0.000, 0.500, 0.342)
C (0.500, 0.500, 0.093)
C (0.500, 0.000, 0.593)

=====

2.
Compound: RbMg6C
Source: the Materials Project
Functional: GGA-PBE
Structure: relaxed

M_tot	0.031	μB/cell
offset from the most stable computed form	68	meV/atom
theoretical density	1.9	g/cm³

a = 8.595 Å, b = 8.595 Å, c = 3.359 Å
α = 90.00°, β = 90.00°, γ = 121.27°
Element x y z (fractional)
Mg (0.867, 0.749, 0.500)
Mg (0.211, 0.789, 0.000)
Mg (0.575, 0.425, 0.000)
Mg (0.251, 0.133, 0.500)
Mg (0.256, 0.436, 0.000)
Mg (0.564, 0.744, 0.000)
C (0.478, 0.522, 0.500)
Rb (0.798, 0.202, 0.500)

=====

3.
Compound: Mg6SbC
Source: the Materials Project
Functional: GGA-PBE
Structure: relaxed

M_tot	0.002	μB/cell
offset from the most stable computed form	0	meV/atom
theoretical density	2.7	g/cm³

a = 4.353 Å, b = 5.993 Å, c = 13.088 Å
α = 90.00°, β = 90.00°, γ = 90.00°
Element x y z (fractional)
Mg (0.500, 0.500, 0.679)
Mg (0.000, 0.244, 0.060)
Mg (0.500, 0.221, 0.897)
Mg (0.000, 0.756, 0.060)
Mg (0.500, 0.279, 0.397)
Mg (0.000, 0.500, 0.823)
Mg (0.500, 0.000, 0.179)
Mg (0.000, 0.744, 0.560)
Mg (0.500, 0.779, 0.897)
Mg (0.500, 0.721, 0.397)
Mg (0.000, 0.256, 0.560)
Mg (0.000, 0.000, 0.323)
Sb (0.500, 0.500, 0.157)
Sb (0.500, 0.000, 0.657)
C (0.000, 0.000, 0.929)
C (0.000, 0.500, 0.429)

=====

4.
Compound: Mg14SbC
Source: the Materials Project
Functional: GGA-PBE
Structure: relaxed

M_tot	0.003	μB/cell
offset from the most stable computed form	0	meV/atom
theoretical density	2.2	g/cm³

a = 6.454 Å, b = 6.454 Å, c = 9.350 Å
α = 90.00°, β = 90.00°, γ = 111.99°
Element x y z (fractional)
Mg (0.160, 0.840, 0.764)
Mg (0.124, 0.311, 0.280)
Mg (0.160, 0.840, 0.236)
Mg (0.362, 0.103, 0.500)
Mg (0.846, 0.154, 0.000)
Mg (0.689, 0.876, 0.720)
Mg (0.897, 0.638, 0.500)
Mg (0.360, 0.180, 0.000)
Mg (0.124, 0.311, 0.720)
Mg (0.689, 0.876, 0.280)
Mg (0.663, 0.337, 0.730)
Mg (0.663, 0.337, 0.270)
Mg (0.349, 0.651, 0.000)
Mg (0.820, 0.640, 0.000)
Sb (0.368, 0.632, 0.500)
C (0.726, 0.274, 0.500)

=====

5.
Compound: Mg14SbC
Source: the Materials Project
Functional: GGA-PBE
Structure: relaxed

M_tot	0.001	μB/cell
offset from the most stable computed form	70	meV/atom
theoretical density	2.3	g/cm³

a = 6.282 Å, b = 6.282 Å, c = 9.977 Å
α = 90.00°, β = 90.00°, γ = 120.00°
Element x y z (fractional)
Mg (0.169, 0.835, 0.625)
Mg (0.671, 0.342, 0.125)
Mg (0.665, 0.331, 0.625)
Mg (0.330, 0.659, 0.895)
Mg (0.330, 0.659, 0.355)
Mg (0.330, 0.170, 0.895)
Mg (0.841, 0.170, 0.355)
Mg (0.833, 0.667, 0.375)
Mg (0.330, 0.170, 0.355)
Mg (0.671, 0.829, 0.125)
Mg (0.841, 0.170, 0.895)
Mg (0.158, 0.829, 0.125)
Mg (0.665, 0.835, 0.625)
Mg (0.833, 0.667, 0.875)
Sb (0.167, 0.333, 0.625)
C (0.167, 0.333, 0.125)

=====

6.
Compound: Mg6SbC
Source: the Materials Project
Functional: GGA-PBE
Structure: relaxed

M_tot	0.009	μB/cell
offset from the most stable computed form	198	meV/atom
theoretical density	2.8	g/cm³

a = 4.888 Å, b = 6.194 Å, c = 10.766 Å
α = 90.00°, β = 90.00°, γ = 90.00°
Element x y z (fractional)
Mg (0.000, 0.766, 0.086)
Mg (0.500, 0.751, 0.417)
Mg (0.500, 0.249, 0.417)
Mg (0.500, 0.749, 0.917)
Mg (0.000, 0.500, 0.335)
Mg (0.000, 0.000, 0.325)
Mg (0.500, 0.251, 0.917)
Mg (0.000, 0.734, 0.586)
Mg (0.000, 0.500, 0.825)
Mg (0.000, 0.266, 0.586)
Mg (0.000, 0.000, 0.835)
Mg (0.000, 0.234, 0.086)
C (0.500, 0.000, 0.167)
C (0.500, 0.500, 0.667)
Sb (0.500, 0.500, 0.167)
Sb (0.500, 0.000, 0.667)